V4O3F9: relaxed, PBE with a Hubbard U.

Computed properties:
The energy above the most stable polymorph in this dataset comes out at 9.9 meV per atom.

Structure (CIF):
```
data_V4O3F9
_symmetry_space_group_name_H-M 'P 1'
_symmetry_Int_Tables_number 1
_symmetry_space_group_name_Hall 'P 1'
_cell_length_a 5.209
_cell_length_b 5.397
_cell_length_c 9.056
_cell_angle_alpha 73.01
_cell_angle_beta 74.91
_cell_angle_gamma 61.98
loop_
_atom_site_label
_atom_site_type_symbol
_atom_site_fract_x
_atom_site_fract_y
_atom_site_fract_z
_atom_site_occupancy
V1 V 0.000 0.000 0.000 1
V2 V 0.241 0.241 0.256 1
V3 V 0.485 0.485 0.495 1
V4 V 0.731 0.729 0.732 1
O1 O 0.143 0.144 0.079 1
O2 O 0.316 0.317 0.403 1
O3 O 0.657 0.654 0.584 1
F1 F 0.161 0.560 0.671 1
F2 F 0.209 0.603 0.110 1
F3 F 0.257 0.861 0.370 1
F4 F 0.309 0.916 0.819 1
F5 F 0.656 0.047 0.165 1
F6 F 0.714 0.109 0.619 1
F7 F 0.758 0.361 0.872 1
F8 F 0.811 0.409 0.319 1
F9 F 0.817 0.818 0.909 1
```

***

MgV4O7F5: relaxed, PBE with a Hubbard U.

Computed properties:
The energy above the most stable polymorph in this dataset comes out at 24.4 meV per atom.

Structure (CIF):
```
data_MgV4O7F5
_symmetry_space_group_name_H-M 'P 1'
_symmetry_Int_Tables_number 1
_symmetry_space_group_name_Hall 'P 1'
_cell_length_a 5.162
_cell_length_b 5.424
_cell_length_c 8.975
_cell_angle_alpha 73.16
_cell_angle_beta 89.54
_cell_angle_gamma 62.37
loop_
_atom_site_label
_atom_site_type_symbol
_atom_site_fract_x
_atom_site_fract_y
_atom_site_fract_z
_atom_site_occupancy
Mg1 Mg 0.000 0.000 0.000 1
V1 V 0.011 0.923 0.381 1
V2 V 0.335 0.381 0.123 1
V3 V 0.589 0.835 0.853 1
V4 V 0.703 0.413 0.597 1
O1 O 0.430 0.670 0.029 1
O2 O 0.431 0.646 0.441 1
O3 O 0.594 0.135 0.284 1
O4 O 0.595 0.603 0.736 1
O5 O 0.622 0.134 0.681 1
O6 O 0.951 0.656 0.944 1
O7 O 0.986 0.155 0.479 1
F1 F 0.050 0.680 0.220 1
F2 F 0.087 0.149 0.166 1
F3 F 0.136 0.132 0.801 1
F4 F 0.560 0.153 0.983 1
F5 F 0.951 0.627 0.529 1
```

***

V5TeP6O24: relaxed, PBE with a Hubbard U.

Structure (CIF):
```
data_V5TeP6O24
_symmetry_space_group_name_H-M 'R 3'
_symmetry_Int_Tables_number 146
_symmetry_space_group_name_Hall 'R 3'
_cell_length_a 8.7084
_cell_length_b 8.7084
_cell_length_c 20.8854
_cell_angle_alpha 90.00
_cell_angle_beta 90.00
_cell_angle_gamma 120.00
loop_
_atom_site_label
_atom_site_type_symbol
_atom_site_fract_x
_atom_site_fract_y
_atom_site_fract_z
_atom_site_occupancy
V1 V 0.0000 0.0000 0.0000 1
V2 V 0.0000 0.0000 0.1404 1
V3 V 0.0000 0.0000 0.5019 1
V4 V 0.0000 0.0000 0.6451 1
V5 V 0.0000 0.0000 0.7879 1
Te1 Te 0.0000 0.0000 0.2903 1
P1 P 0.0301 0.6677 0.0632 1
P2 P 0.0471 0.3728 0.5598 1
O1 O 0.0071 0.1986 0.9539 1
O2 O 0.0090 0.8352 0.0695 1
O3 O 0.0199 0.1820 0.5690 1
O4 O 0.1163 0.6698 0.9981 1
O5 O 0.1394 0.6690 0.1197 1
O6 O 0.1519 0.4660 0.4999 1
O7 O 0.1614 0.4769 0.8810 1
O8 O 0.1651 0.6724 0.3891 1
```

***

Result set for energy relative to the elements: -2945; -2698; -2507 meV/atom, one per record in the order listed.
Result set for uncorrected energy: -6.407; -6.712; -7.363 eV/atom, one per record in the order listed.
Result set for volume: 212.65; 210.70; 1371.68 Å³ per cell, one per record in the order listed.